[1]
{
  "formula": "Sm2Si5Pt3",
  "functional": "meta-GGA r2SCAN",
  "state": "relaxed",
  "cell": [[-4.977, 5.745, 3.031], [4.977, -5.745, 3.031], [4.977, 5.745, -3.031]],
  "species": ["Sm", "Sm", "Sm", "Sm", "Si", "Si", "Si", "Si", "Si", "Si", "Si", "Si", "Si", "Si", "Pt", "Pt", "Pt", "Pt", "Pt", "Pt"],
  "fractional_positions": [[0.129, 0.231, 0.361], [0.371, 0.731, 0.102], [0.629, 0.269, 0.898], [0.871, 0.769, 0.639], [0.021, 0.750, 0.271], [0.113, 0.649, 0.762], [0.250, 0.250, 0.000], [0.387, 0.149, 0.537], [0.479, 0.750, 0.729], [0.521, 0.250, 0.271], [0.613, 0.851, 0.463], [0.750, 0.750, 0.000], [0.887, 0.351, 0.238], [0.979, 0.250, 0.729], [0.136, 0.889, 0.025], [0.249, 0.749, 0.500], [0.364, 0.389, 0.753], [0.636, 0.611, 0.247], [0.751, 0.251, 0.500], [0.864, 0.111, 0.975]],
  "space_group": "Ibam, No. 72"
}

---

[2]
{
  "formula": "CaAgP",
  "functional": "meta-GGA r2SCAN",
  "state": "relaxed",
  "cell": [[7.030, 0.000, 0.000], [-3.515, 6.088, 0.000], [0.000, 0.000, 4.197]],
  "species": ["Ca", "Ca", "Ca", "Ag", "Ag", "Ag", "P", "P", "P"],
  "fractional_positions": [[0.000, 0.588, 0.000], [0.412, 0.412, 0.000], [0.588, 0.000, 0.000], [0.000, 0.252, 0.500], [0.252, 0.000, 0.500], [0.748, 0.748, 0.500], [0.000, 0.000, 0.000], [0.333, 0.667, 0.500], [0.667, 0.333, 0.500]],
  "space_group": "P-62m, No. 189"
}

---

Electronic total energy values, unit eV/atom, following the record order: -26.84 -13.32.
Magnetic moment values, unit μB/f.u., following the record order: 0.000 0.000.
Formation enthalpy at 0 K values, unit eV per atom, following the record order: -1.057 -0.859.